The following is a GGA-PBE calculation of crystalline Na2Li4Ti3AlP6O24 at its relaxed geometry, from the Materials Project.

Cell: 8.7641 8.7804 8.7818 Å, 60.31 60.13 60.19°
Closest atoms and distances in Å follow each position.
Sites, in units of the cell vectors:
O  0.0871  0.5128  0.2693  1 P 1.53
O  0.2683  0.7288  0.0705  1 P 1.57
O  0.2454  0.5806  0.4036  1 P 1.56
O  0.9333  0.4850  0.6999  1 P 1.56
O  0.2637  0.0701  0.9333  1 P 1.57
O  0.7448  0.0715  0.2733  1 P 1.55
O  0.5716  0.0018  0.6274  1 P 1.54
O  0.9325  0.7026  0.8842  1 P 1.56
O  0.0642  0.2752  0.1282  1 P 1.54
O  0.7383  0.9074  0.0757  1 P 1.54
O  0.7426  0.5690  0.2165  1 P 1.55
O  0.2658  0.9295  0.7341  1 P 1.57
O  0.4377  0.3773  0.2097  1 P 1.54
O  0.4254  0.9875  0.3798  1 P 1.52
O  0.0782  0.1274  0.5230  1 P 1.52
O  0.2423  0.4033  0.7744  1 P 1.57
O  0.7417  0.2305  0.4389  1 P 1.55
O  0.7481  0.4357  0.5904  1 P 1.54
O  0.5726  0.6287  0.7957  1 P 1.55
O  0.9323  0.8863  0.4815  1 P 1.55
O  0.5718  0.7993  0.9976  1 P 1.55
O  0.7452  0.2843  0.9282  1 P 1.55
O  0.2447  0.7708  0.5811  1 P 1.57
O  0.4151  0.2125  0.9971  1 P 1.53
Al  0.4491  0.8504  0.8486  6 O 1.85-2.00
Li  0.7467  0.3470  0.1583  4 O 2.12-2.35
Li  0.2516  0.2403  0.6603  2 O 2.07-2.13
Li  0.2522  0.6580  0.8492  2 O 2.08-2.12
Li  0.2515  0.8475  0.2411  2 O 2.07-2.13
P  0.7457  0.0418  0.4625  4 O 1.54-1.55
P  0.2579  0.5441  0.2398  4 O 1.53-1.57
P  0.2524  0.9600  0.5481  4 O 1.52-1.57
P  0.7446  0.7469  0.0432  4 O 1.54-1.56
P  0.7472  0.4601  0.7525  4 O 1.54-1.56
P  0.2461  0.2408  0.9636  4 O 1.53-1.57
Ti  0.9307  0.3546  0.3628  6 O 2.02-2.13
Ti  0.0543  0.6505  0.6480  6 O 1.96-2.13
Ti  0.5656  0.1387  0.1470  6 O 1.97-2.09
Na  0.9877  0.9911  0.0011  6 O 2.33-2.55
Na  0.5041  0.5013  0.5093  6 O 2.30-2.53

- Mass density: 2.8 g/cm³
- Energy of formation from the pure elements: -113.7 eV per formula unit
- Space group: P1
- Magnetic moment: 3.000 μB/cell